# ZrFe4Si2, optimized geometry, DFT PBE
# Energy with MP2020 corrections (eV per formula unit): -56.64
# ΔH_f (0 K) (eV per atom): -0.4805
data_ZrFe4Si2
_space_group_name_H-M_alt 'P 42/m n m'
_space_group_IT_number 136
_space_group_name_Hall '-P 4n 2n'
_cell_length_a 6.918
_cell_length_b 6.918
_cell_length_c 3.727
_cell_angle_alpha 90.00
_cell_angle_beta 90.00
_cell_angle_gamma 90.00
loop_
_atom_site_label
_atom_site_type_symbol
_atom_site_fract_x
_atom_site_fract_y
_atom_site_fract_z
Zr1 Zr 0.000 0.000 0.000
Fe1 Fe 0.088 0.352 0.500
Si1 Si 0.217 0.783 0.500